CeNi, optimized geometry, DFT r2SCAN; energy of formation = -0.5 eV/f.u.
1.0
3.5697 0.0000 0.0000
0.0000 10.9111 0.0000
0.0000 0.0000 4.1907
Ce Ni
4 4
direct
0.0000 0.1364 0.2500 Ce
0.0000 0.8636 0.7500 Ce
0.5000 0.3636 0.7500 Ce
0.5000 0.6364 0.2500 Ce
0.0000 0.4225 0.2500 Ni
0.0000 0.5775 0.7500 Ni
0.5000 0.0775 0.7500 Ni
0.5000 0.9225 0.2500 Ni



CeNiP, optimized geometry, DFT r2SCAN; energy of formation = -3.8 eV/f.u.
1.0
3.9493 0.0000 0.0000
-1.9746 3.4202 0.0000
0.0000 0.0000 15.9711
Ce Ni P
4 4 4
direct
0.0000 0.0000 0.0000 Ce
0.0000 0.0000 0.2500 Ce
0.0000 0.0000 0.5000 Ce
0.0000 0.0000 0.7500 Ce
0.3333 0.6667 0.1261 Ni
0.3333 0.6667 0.3739 Ni
0.6667 0.3333 0.6261 Ni
0.6667 0.3333 0.8739 Ni
0.3333 0.6667 0.6258 P
0.3333 0.6667 0.8742 P
0.6667 0.3333 0.1258 P
0.6667 0.3333 0.3742 P